Here is a relaxed Ce5Sb3 crystal from Materials Project. Energies are from PBE.

Cell lengths 9.2888, 9.2888, 6.3479 Å; angles 90.00, 90.00, 120.00 degrees
Last column: nearest neighbours and their distance in Å.
Space group P6_3/mcm (No. 193)
Inequivalent atoms, fractional coordinates:
Ce1 0.0000 0.2550 0.2500 (multiplicity 6)  5 Sb 3.15-3.40
Ce2 0.3333 0.6667 0.0000 (multiplicity 4)  2 Ce 3.17, 6 Sb 3.29
Sb1 0.0000 0.3851 0.7500 (multiplicity 6)  9 Ce 3.15-3.40

Computed properties:
- Formation enthalpy at 0 K: -0.88 eV per atom
- Total magnetic moment: 0.681 μB per atom



Here is a relaxed CaEuGdSbO6 crystal from Materials Project. Energies are from PBE.

Cell lengths 8.4187, 8.4187, 8.4187 Å; angles 90.00, 90.00, 90.00 degrees
Last column: nearest neighbours and their distance in Å.
Space group F-43m (No. 216)
Inequivalent atoms, fractional coordinates:
Ca1 0.0000 0.0000 0.0000 (multiplicity 4)  12 O 2.98
Eu1 0.0000 0.0000 0.5000 (multiplicity 4)  12 O 2.98
Gd1 0.2500 0.2500 0.7500 (multiplicity 4)  6 O 2.22
Sb1 0.2500 0.2500 0.2500 (multiplicity 4)  6 O 1.99
O1 0.0141 0.2500 0.2500 (multiplicity 24)  1 Sb 1.99, 1 Gd 2.22

Computed properties:
- Polymorph energy (0 for the lowest one): 0.038 eV per atom
- Formation enthalpy at 0 K: -2.91 eV per atom
- Total magnetic moment: 0.000 μB per atom